Below is crystalline MgScNi2SbO6 at its relaxed geometry, with properties calculated at the PBE+U level.

Calculated formation energy: -2.04 eV per atom
Distance to the lowest polymorph of the same formula: 4.5 kJ/mol of atoms
Energy: -6.048 eV/atom

abc: 5.3333 5.7216 5.7475
angles: 88.56 62.60 65.75
Closest atoms and distances in Å follow each position.
Space group P1 (No. 1)
Symmetry-distinct sites (fractional):
Mg 0.0000 0.0000 0.0000 [1 per cell]  4 O 1.97-2.05
Sc 0.3111 0.1279 0.3875 [1 per cell]  6 O 2.04-2.28
Ni 0.7014 0.5285 0.3131 [1 per cell]  4 O 2.02-2.13
Ni 0.8173 0.8102 0.7084 [1 per cell]  4 O 1.93-2.08
Sb 0.4126 0.4328 0.8815 [1 per cell]  4 O 2.00-2.24
O 0.1562 0.2158 0.1018 [1 per cell]  1 Mg 1.97, 1 Ni 2.10, 1 Sc 2.12, 1 Sb 2.18
O 0.2054 0.8583 0.6001 [1 per cell]  1 Ni 2.01, 1 Sc 2.04, 1 Mg 2.05
O 0.5873 0.3242 0.1300 [1 per cell]  1 Sb 2.00, 1 Mg 2.01, 1 Ni 2.02, 1 Sc 2.21
O 0.5987 0.1363 0.5792 [1 per cell]  1 Sb 2.01, 1 Ni 2.08
O 0.7224 0.8118 0.0980 [1 per cell]  2 Ni 2.02-2.06, 1 Mg 2.04, 1 Sc 2.09
O 0.8471 0.4759 0.6074 [1 per cell]  2 Ni 1.93-2.13

Below is crystalline MgScNi2SbO6 at its relaxed geometry, with properties calculated at the PBE+U level.

Calculated formation energy: -2.08 eV per atom
Distance to the lowest polymorph of the same formula: 0.0 kJ/mol of atoms
Energy: -6.094 eV/atom

abc: 5.3658 5.3658 15.9194
angles: 90.00 90.00 120.00
Closest atoms and distances in Å follow each position.
Space group R3 (No. 146, hexagonal axes)
Symmetry-distinct sites (fractional):
Mg 0.0000 0.0000 0.0000 [3 per cell]  6 O 2.13-2.15
Sc 0.0000 0.0000 0.3556 [3 per cell]  6 O 2.13-2.15
Ni 0.0000 0.0000 0.1779 [3 per cell]  6 O 2.14-2.21
Ni 0.0000 0.0000 0.6131 [3 per cell]  3 O 1.92
Sb 0.0000 0.0000 0.8136 [3 per cell]  3 O 2.09
O 0.0286 0.6701 0.7521 [9 per cell]  1 Sb 2.09, 1 Sc 2.13, 1 Mg 2.13, 1 Ni 2.21
O 0.0359 0.3636 0.9326 [9 per cell]  2 Ni 1.92-2.14

Below is crystalline Mg3Si3Ni2O12 at its relaxed geometry, with properties calculated at the PBE+U level.

Calculated formation energy: -2.57 eV per atom
Energy: -6.505 eV/atom

abc: 11.6493 11.6493 11.6493
angles: 90.00 90.00 90.00
Closest atoms and distances in Å follow each position.
Space group Ia-3d (No. 230)
Symmetry-distinct sites (fractional):
Mg 0.0000 0.2500 0.1250 [24 per cell]  8 O 2.22-2.33
Si 0.0000 0.2500 0.3750 [24 per cell]  4 O 1.65
Ni 0.0000 0.0000 0.0000 [16 per cell]  6 O 1.98
O 0.0325 0.0551 0.6579 [96 per cell]  1 Si 1.65

Below is crystalline MgSiNiO4 at its relaxed geometry, with properties calculated at the PBE+U level.

Calculated formation energy: -2.65 eV per atom
Energy: -6.555 eV/atom

abc: 10.2306 6.0179 4.7956
angles: 90.00 90.00 90.00
Closest atoms and distances in Å follow each position.
Space group Pnma (No. 62)
Symmetry-distinct sites (fractional):
Mg 0.0000 0.0000 0.0000 [4 per cell]  6 O 2.09-2.13
Si 0.0944 0.2500 0.4280 [4 per cell]  4 O 1.63-1.68
Ni 0.2257 0.7500 0.4924 [4 per cell]  6 O 2.07-2.21
O 0.0540 0.7500 0.7198 [4 per cell]  1 Si 1.68
O 0.0922 0.2500 0.7676 [4 per cell]  1 Si 1.63
O 0.1625 0.0312 0.2748 [8 per cell]  1 Si 1.66

Below is crystalline Mg6NiSnO8 at its relaxed geometry, with properties calculated at the PBE+U level.

Calculated formation energy: -2.43 eV per atom
Distance to the lowest polymorph of the same formula: 1.6 kJ/mol of atoms
Energy: -5.610 eV/atom

abc: 4.4172 4.4172 8.7998
angles: 90.00 90.00 90.00
Closest atoms and distances in Å follow each position.
Space group P4/mmm (No. 123)
Symmetry-distinct sites (fractional):
Mg 0.0000 0.0000 0.0000 [1 per cell]  6 O 2.19-2.21
Mg 0.0000 0.0000 0.5000 [1 per cell]  6 O 2.21
Mg 0.0000 0.5000 0.2350 [4 per cell]  5 O 2.07-2.21
Ni 0.5000 0.5000 0.0000 [1 per cell]  6 O 2.04-2.21
Sn 0.5000 0.5000 0.5000 [1 per cell]  6 O 2.21-2.36
O 0.0000 0.0000 0.2487 [2 per cell]  6 Mg 2.19-2.21
O 0.0000 0.5000 0.0000 [2 per cell]  4 Mg 2.07-2.21, 2 Ni 2.21
O 0.0000 0.5000 0.5000 [2 per cell]  2 Sn 2.21, 4 Mg 2.21-2.33
O 0.5000 0.5000 0.2320 [2 per cell]  1 Ni 2.04, 4 Mg 2.21

Below is crystalline Mg6NiSnO8 at its relaxed geometry, with properties calculated at the PBE+U level.

Calculated formation energy: -2.44 eV per atom
Distance to the lowest polymorph of the same formula: 0.0 kJ/mol of atoms
Energy: -5.627 eV/atom

abc: 4.3930 4.3930 8.7750
angles: 90.00 90.00 90.00
Closest atoms and distances in Å follow each position.
Space group P4/mmm (No. 123)
Symmetry-distinct sites (fractional):
Mg 0.0000 0.0000 0.0000 [1 per cell]  6 O 2.11-2.20
Mg 0.0000 0.5000 0.2409 [4 per cell]  6 O 2.11-2.27
Mg 0.5000 0.5000 0.0000 [1 per cell]  6 O 2.05-2.20
Ni 0.0000 0.0000 0.5000 [1 per cell]  6 O 2.20-2.28
Sn 0.5000 0.5000 0.5000 [1 per cell]  6 O 2.20-2.34
O 0.0000 0.0000 0.2403 [2 per cell]  5 Mg 2.11-2.20, 1 Ni 2.28
O 0.0000 0.5000 0.0000 [2 per cell]  6 Mg 2.11-2.20
O 0.0000 0.5000 0.5000 [2 per cell]  2 Sn 2.20, 2 Ni 2.20, 2 Mg 2.27
O 0.5000 0.5000 0.2337 [2 per cell]  5 Mg 2.05-2.20

What did the third record say?
Below is crystalline Mg3Si3Ni2O12 at its relaxed geometry, with properties calculated at the PBE+U level.

Calculated formation energy: -2.57 eV per atom
Energy: -6.505 eV/atom

abc: 11.6493 11.6493 11.6493
angles: 90.00 90.00 90.00
Closest atoms and distances in Å follow each position.
Space group Ia-3d (No. 230)
Symmetry-distinct sites (fractional):
Mg 0.0000 0.2500 0.1250 [24 per cell]  8 O 2.22-2.33
Si 0.0000 0.2500 0.3750 [24 per cell]  4 O 1.65
Ni 0.0000 0.0000 0.0000 [16 per cell]  6 O 1.98
O 0.0325 0.0551 0.6579 [96 per cell]  1 Si 1.65

> What is the calculated formation energy in the third record?

-2.57 eV per atom

> What is the energy in the fourth record?

-6.555 eV/atom

> energy of number 3 (Mg3Si3Ni2O12)?

-6.505 eV/atom